(1)
Density functional theory data (PBE) for MgGeP2 after structural relaxation.

Computed properties:
The energy relative to the elements is -1.22 eV per formula unit. The calculation puts the piezoelectric modulus e_max at 0.2 C/m2. The total energy comes out at -4.569 eV per atom.

The structure in CIF format:
```
data_MgGeP2
_chemical_formula_sum 'Mg4 Ge4 P8'
_cell_length_a 5.789
_cell_length_b 5.789
_cell_length_c 10.761
_cell_angle_alpha 90.00
_cell_angle_beta 90.00
_cell_angle_gamma 90.00
_symmetry_space_group_name_H-M 'I -4 2 d'
_symmetry_Int_Tables_number 122
_symmetry_space_group_name_Hall 'I -4 2bw'
loop_
_atom_site_label
_atom_site_type_symbol
_atom_site_fract_x
_atom_site_fract_y
_atom_site_fract_z
Mg1 Mg 0.000 0.000 0.000
Ge1 Ge 0.000 0.000 0.500
P1 P 0.222 0.250 0.625
```

---

(2)
Density functional theory data (PBE) for MgGeP2 after structural relaxation.

Computed properties:
The energy relative to the elements is -0.97 eV per formula unit. The total energy comes out at -4.504 eV per atom.

The structure in CIF format:
```
data_MgGeP2
_chemical_formula_sum 'Mg1 Ge1 P2'
_cell_length_a 3.889
_cell_length_b 3.889
_cell_length_c 5.945
_cell_angle_alpha 90.00
_cell_angle_beta 90.00
_cell_angle_gamma 90.00
_symmetry_space_group_name_H-M 'P -4 m 2'
_symmetry_Int_Tables_number 115
loop_
_symmetry_equiv_pos_as_xyz
'x,y,z'
'y,-x,-z'
'-x,-y,z'
'-y,x,-z'
'-x,y,z'
'-y,-x,-z'
'x,-y,z'
'y,x,-z'
loop_
_atom_site_label
_atom_site_type_symbol
_atom_site_fract_x
_atom_site_fract_y
_atom_site_fract_z
Mg1 Mg 0.000 0.000 0.000
Ge1 Ge 0.500 0.500 0.500
P1 P 0.000 0.500 0.268
```

---

(3)
Density functional theory data (PBE) for MgGePd2 after structural relaxation.

Computed properties:
The energy relative to the elements is -2.34 eV per formula unit. The total energy comes out at -4.730 eV per atom.

The structure in CIF format:
```
data_MgGePd2
_chemical_formula_sum 'Mg4 Ge4 Pd8'
_cell_length_a 6.310
_cell_length_b 6.310
_cell_length_c 6.310
_cell_angle_alpha 90.00
_cell_angle_beta 90.00
_cell_angle_gamma 90.00
_symmetry_space_group_name_H-M 'F m -3 m'
_symmetry_Int_Tables_number 225
_symmetry_space_group_name_Hall '-F 4 2 3'
loop_
_atom_site_label
_atom_site_type_symbol
_atom_site_fract_x
_atom_site_fract_y
_atom_site_fract_z
Mg1 Mg 0.000 0.000 0.000
Ge1 Ge 0.000 0.000 0.500
Pd1 Pd 0.250 0.250 0.250
```

---

(4)
Density functional theory data (PBE) for Pm2MgGe after structural relaxation.

Computed properties:
The energy relative to the elements is -1.51 eV per formula unit. The total energy comes out at -4.308 eV per atom.

The structure in CIF format:
```
data_Pm2MgGe
_chemical_formula_sum 'Pm8 Mg4 Ge4'
_cell_length_a 7.446
_cell_length_b 7.446
_cell_length_c 7.446
_cell_angle_alpha 90.00
_cell_angle_beta 90.00
_cell_angle_gamma 90.00
_symmetry_space_group_name_H-M 'F m -3 m'
_symmetry_Int_Tables_number 225
_symmetry_space_group_name_Hall '-F 4 2 3'
loop_
_atom_site_label
_atom_site_type_symbol
_atom_site_fract_x
_atom_site_fract_y
_atom_site_fract_z
Pm1 Pm 0.250 0.250 0.250
Mg1 Mg 0.000 0.000 0.000
Ge1 Ge 0.000 0.000 0.500
```

---

(5)
Density functional theory data (PBE) for Pr4Mg5Ge6 after structural relaxation.

Computed properties:
The energy relative to the elements is -9.05 eV per formula unit. The total energy comes out at -4.261 eV per atom. For the total magnetization, the calculation gives 0.0 μB/f.u.

The structure in CIF format:
```
data_Pr4Mg5Ge6
_chemical_formula_sum 'Pr16 Mg20 Ge24'
_cell_length_a 4.485
_cell_length_b 20.149
_cell_length_c 16.073
_cell_angle_alpha 90.00
_cell_angle_beta 90.00
_cell_angle_gamma 90.00
_symmetry_space_group_name_H-M 'C m c 21'
_symmetry_Int_Tables_number 36
loop_
_symmetry_equiv_pos_as_xyz
'x,y,z'
'-x,-y,z+1/2'
'-x,y,z'
'x,-y,z+1/2'
'x+1/2,y+1/2,z'
'-x+1/2,-y+1/2,z+1/2'
'-x+1/2,y+1/2,z'
'x+1/2,-y+1/2,z+1/2'
loop_
_atom_site_label
_atom_site_type_symbol
_atom_site_fract_x
_atom_site_fract_y
_atom_site_fract_z
Pr1 Pr 0.000 0.013 0.000
Pr2 Pr 0.000 0.033 0.263
Pr3 Pr 0.000 0.165 0.801
Pr4 Pr 0.000 0.175 0.442
Mg1 Mg 0.000 0.155 0.122
Mg2 Mg 0.000 0.303 0.119
Mg3 Mg 0.000 0.340 0.766
Mg4 Mg 0.000 0.350 0.478
Mg5 Mg 0.000 0.442 0.168
Ge1 Ge 0.000 0.114 0.618
Ge2 Ge 0.000 0.226 0.977
Ge3 Ge 0.000 0.232 0.264
Ge4 Ge 0.000 0.428 0.626
Ge5 Ge 0.000 0.433 0.900
Ge6 Ge 0.000 0.445 0.350
```

---

(6)
Density functional theory data (PBE) for Pr2MgGe2 after structural relaxation.

Computed properties:
The energy relative to the elements is -3.77 eV per formula unit. The total energy comes out at -4.835 eV per atom.

The structure in CIF format:
```
data_Pr2MgGe2
_chemical_formula_sum 'Pr4 Mg2 Ge4'
_cell_length_a 7.532
_cell_length_b 7.532
_cell_length_c 4.440
_cell_angle_alpha 90.00
_cell_angle_beta 90.00
_cell_angle_gamma 90.00
_symmetry_space_group_name_H-M 'P 4/m b m'
_symmetry_Int_Tables_number 127
_symmetry_space_group_name_Hall '-P 4 2ab'
loop_
_atom_site_label
_atom_site_type_symbol
_atom_site_fract_x
_atom_site_fract_y
_atom_site_fract_z
Pr1 Pr 0.179 0.321 0.000
Mg1 Mg 0.000 0.000 0.500
Ge1 Ge 0.121 0.621 0.500
```

---

(7)
Density functional theory data (PBE) for Tb6MgGe2S14 after structural relaxation.

Computed properties:
The energy relative to the elements is -43.16 eV per formula unit. The total energy comes out at -5.769 eV per atom. For the total magnetization, the calculation gives 0.0 μB/f.u.

The structure in CIF format:
```
data_Tb6MgGe2S14
_chemical_formula_sum 'Tb6 Mg1 Ge2 S14'
_cell_length_a 9.8843
_cell_length_b 9.8843
_cell_length_c 5.8209
_cell_angle_alpha 90.00
_cell_angle_beta 90.00
_cell_angle_gamma 120.00
_symmetry_space_group_name_H-M 'P 3'
_symmetry_Int_Tables_number 143
loop_
_symmetry_equiv_pos_as_xyz
'x,y,z'
'-y,x-y,z'
'-x+y,-x,z'
loop_
_atom_site_label
_atom_site_type_symbol
_atom_site_fract_x
_atom_site_fract_y
_atom_site_fract_z
Tb1 Tb 0.0261 0.4694 0.0000
Tb2 Tb 0.3088 0.1978 0.5051
Mg1 Mg 0.6667 0.3333 0.2173
Ge1 Ge 0.0000 0.0000 0.0848
Ge2 Ge 0.3333 0.6667 0.5798
S1 S 0.0000 0.0000 0.7057
S2 S 0.0887 0.2357 0.2447
S3 S 0.1858 0.7550 0.7401
S4 S 0.3333 0.6667 0.2016
S5 S 0.4148 0.2365 0.9680
S6 S 0.5136 0.0813 0.4489
```

---

(8)
Density functional theory data (PBE) for Y6MgGe2S14 after structural relaxation.

Computed properties:
The energy relative to the elements is -42.91 eV per formula unit. The total energy comes out at -6.236 eV per atom. For the total magnetization, the calculation gives 0.0 μB/f.u.

The structure in CIF format:
```
data_Y6MgGe2S14
_chemical_formula_sum 'Y6 Mg1 Ge2 S14'
_cell_length_a 9.9656
_cell_length_b 9.9656
_cell_length_c 5.6940
_cell_angle_alpha 90.00
_cell_angle_beta 90.00
_cell_angle_gamma 120.00
_symmetry_space_group_name_H-M 'P 3'
_symmetry_Int_Tables_number 143
loop_
_symmetry_equiv_pos_as_xyz
'x,y,z'
'-y,x-y,z'
'-x+y,-x,z'
loop_
_atom_site_label
_atom_site_type_symbol
_atom_site_fract_x
_atom_site_fract_y
_atom_site_fract_z
Y1 Y 0.0225 0.5638 0.0000
Y2 Y 0.3101 0.1026 0.5024
Mg1 Mg 0.6667 0.3333 0.2683
Ge1 Ge 0.0000 0.0000 0.9215
Ge2 Ge 0.3333 0.6667 0.4176
S1 S 0.0000 0.0000 0.3056
S2 S 0.0822 0.8493 0.7574
S3 S 0.1826 0.4338 0.2543
S4 S 0.3333 0.6667 0.8024
S5 S 0.4149 0.1733 0.0315
S6 S 0.5044 0.4222 0.5122
```

---

(9)
Density functional theory data (PBE) for Sm2MgGe2 after structural relaxation.

Computed properties:
The energy relative to the elements is -3.88 eV per formula unit. The total energy comes out at -4.833 eV per atom.

The structure in CIF format:
```
data_Sm2MgGe2
_chemical_formula_sum 'Sm4 Mg2 Ge4'
_cell_length_a 7.385
_cell_length_b 7.385
_cell_length_c 4.361
_cell_angle_alpha 90.00
_cell_angle_beta 90.00
_cell_angle_gamma 90.00
_symmetry_space_group_name_H-M 'P 4/m b m'
_symmetry_Int_Tables_number 127
_symmetry_space_group_name_Hall '-P 4 2ab'
loop_
_atom_site_label
_atom_site_type_symbol
_atom_site_fract_x
_atom_site_fract_y
_atom_site_fract_z
Sm1 Sm 0.178 0.322 0.000
Mg1 Mg 0.000 0.000 0.500
Ge1 Ge 0.122 0.622 0.500
```

---

(10)
Density functional theory data (PBE) for Sm4Mg7Ge6 after structural relaxation.

Computed properties:
The energy relative to the elements is -9.41 eV per formula unit. The total energy comes out at -3.954 eV per atom. For the total magnetization, the calculation gives 0.1 μB/f.u.

The structure in CIF format:
```
data_Sm4Mg7Ge6
_chemical_formula_sum 'Sm8 Mg14 Ge12'
_cell_length_a 16.545
_cell_length_b 4.413
_cell_length_c 12.469
_cell_angle_alpha 90.00
_cell_angle_beta 122.29
_cell_angle_gamma 90.00
_symmetry_space_group_name_H-M 'C 1 2/m 1'
_symmetry_Int_Tables_number 12
loop_
_symmetry_equiv_pos_as_xyz
'x,y,z'
'-x,-y,-z'
'-x,y,-z'
'x,-y,z'
'x+1/2,y+1/2,z'
'-x+1/2,-y+1/2,-z'
'-x+1/2,y+1/2,-z'
'x+1/2,-y+1/2,z'
loop_
_atom_site_label
_atom_site_type_symbol
_atom_site_fract_x
_atom_site_fract_y
_atom_site_fract_z
Sm1 Sm 0.130 0.000 0.339
Sm2 Sm 0.233 0.000 0.113
Mg1 Mg 0.000 0.000 0.000
Mg2 Mg 0.040 0.500 0.639
Mg3 Mg 0.063 0.500 0.897
Mg4 Mg 0.190 0.000 0.653
Ge1 Ge 0.111 0.000 0.814
Ge2 Ge 0.121 0.500 0.153
Ge3 Ge 0.150 0.500 0.521
```

---

(11)
Density functional theory data (PBE) for Mg6Sn2Ge after structural relaxation.

Computed properties:
The energy relative to the elements is -1.77 eV per formula unit. The total energy comes out at -2.668 eV per atom.

The structure in CIF format:
```
data_Mg6Sn2Ge
_chemical_formula_sum 'Mg6 Sn2 Ge1'
_cell_length_a 4.7315
_cell_length_b 4.7315
_cell_length_c 11.5203
_cell_angle_alpha 90.00
_cell_angle_beta 90.00
_cell_angle_gamma 120.00
_symmetry_space_group_name_H-M 'P -3 m 1'
_symmetry_Int_Tables_number 164
_symmetry_space_group_name_Hall '-P 3 2"'
loop_
_atom_site_label
_atom_site_type_symbol
_atom_site_fract_x
_atom_site_fract_y
_atom_site_fract_z
Mg1 Mg 0.0000 0.0000 0.2438
Mg2 Mg 0.3333 0.6667 0.4160
Mg3 Mg 0.3333 0.6667 0.9218
Sn1 Sn 0.3333 0.6667 0.6683
Ge1 Ge 0.0000 0.0000 0.0000
```

---

(12)
Density functional theory data (PBE) for Mg4SnGe after structural relaxation.

Computed properties:
The energy relative to the elements is 0.75 eV per formula unit. The total energy comes out at -2.381 eV per atom. For the total magnetization, the calculation gives 0.0 μB/f.u.

The structure in CIF format:
```
data_Mg4SnGe
_chemical_formula_sum 'Mg16 Sn4 Ge4'
_cell_length_a 8.151
_cell_length_b 8.151
_cell_length_c 8.151
_cell_angle_alpha 90.00
_cell_angle_beta 90.00
_cell_angle_gamma 90.00
_symmetry_space_group_name_H-M 'F -4 3 m'
_symmetry_Int_Tables_number 216
_symmetry_space_group_name_Hall 'F -4 2 3'
loop_
_atom_site_label
_atom_site_type_symbol
_atom_site_fract_x
_atom_site_fract_y
_atom_site_fract_z
Mg1 Mg 0.125 0.125 0.125
Sn1 Sn 0.250 0.250 0.750
Ge1 Ge 0.000 0.000 0.500
```

---

- Look up the energy relative to the elements of the third one.
  -2.34 eV per formula unit

---

- Which of these has the lowest energy relative to the elements?
  Tb6MgGe2S14

---

- What is the formula in the third record?
  MgGePd2

---

- Which of these has the highest energy relative to the elements?
  Mg4SnGe